Entry 1:
An optimized crystal structure of CdBi12Cl14O12. Source: Materials Project, functional GGA-PBE.

```
CdBi12Cl14O12
1.0
2.757 -26.341 0.000
2.757 26.341 0.000
0.000 0.000 5.514
Cd Bi Cl O
1 12 14 12
Direct
0.000 0.000 0.500 Cd
0.774 0.226 0.000 Bi
0.274 0.726 0.500 Bi
0.726 0.274 0.500 Bi
0.226 0.774 0.000 Bi
0.921 0.079 0.000 Bi
0.421 0.579 0.500 Bi
0.579 0.421 0.500 Bi
0.079 0.921 0.000 Bi
0.628 0.372 0.000 Bi
0.128 0.872 0.500 Bi
0.872 0.128 0.500 Bi
0.372 0.628 0.000 Bi
0.700 0.300 0.000 Cl
0.199 0.801 0.500 Cl
0.801 0.199 0.500 Cl
0.300 0.700 0.000 Cl
0.555 0.445 0.000 Cl
0.052 0.948 0.500 Cl
0.948 0.052 0.500 Cl
0.445 0.555 0.000 Cl
0.846 0.154 0.000 Cl
0.346 0.654 0.500 Cl
0.654 0.346 0.500 Cl
0.154 0.846 0.000 Cl
0.500 0.500 0.500 Cl
0.000 0.000 0.000 Cl
0.648 0.856 0.748 O
0.144 0.352 0.252 O
0.144 0.352 0.748 O
0.648 0.856 0.252 O
0.856 0.648 0.748 O
0.352 0.144 0.252 O
0.352 0.144 0.748 O
0.856 0.648 0.252 O
0.500 0.000 0.750 O
0.000 0.500 0.250 O
0.000 0.500 0.750 O
0.500 0.000 0.250 O
```

Space group = Cmmm, No. 65
ΔH_f (0 K) = -57.1 eV per formula unit



Entry 2:
An optimized crystal structure of IrSe3Br9. Source: Materials Project, functional GGA-PBE.

```
IrSe3Br9
1.0
8.151 0.000 0.000
3.232 8.046 0.000
0.990 1.709 13.789
Ir Se Br
2 6 18
Direct
0.726 0.779 0.750 Ir
0.274 0.221 0.250 Ir
0.860 0.920 0.627 Se
0.140 0.080 0.373 Se
0.849 0.852 0.881 Se
0.151 0.148 0.119 Se
0.956 0.502 0.749 Se
0.044 0.498 0.251 Se
0.430 0.013 0.746 Br
0.570 0.987 0.254 Br
0.634 0.603 0.895 Br
0.366 0.397 0.105 Br
0.621 0.628 0.637 Br
0.379 0.372 0.363 Br
0.745 0.938 0.472 Br
0.255 0.062 0.528 Br
0.743 0.213 0.643 Br
0.257 0.787 0.357 Br
0.105 0.914 0.818 Br
0.895 0.086 0.182 Br
0.665 0.115 0.930 Br
0.335 0.885 0.070 Br
0.149 0.515 0.613 Br
0.851 0.485 0.387 Br
0.157 0.446 0.879 Br
0.843 0.554 0.121 Br
```

Space group = P-1, No. 2
ΔH_f (0 K) = -7.9 eV per formula unit
Distance to the lowest polymorph of the same formula = 0 meV per atom



Entry 3:
An optimized crystal structure of Li2CuP4O12. Source: Materials Project, functional GGA-PBE.

```
Li2CuP4O12
1.0
3.080 -5.523 -5.328
5.775 3.251 4.946
-0.737 -5.597 4.973
Li Cu P O
4 2 8 24
Direct
0.514 0.822 0.808 Li
0.486 0.178 0.192 Li
0.178 0.486 0.692 Li
0.822 0.514 0.308 Li
0.131 0.869 0.250 Cu
0.869 0.131 0.750 Cu
0.227 0.563 0.113 P
0.225 0.073 0.816 P
0.927 0.775 0.684 P
0.775 0.927 0.184 P
0.773 0.437 0.887 P
0.073 0.225 0.316 P
0.563 0.227 0.613 P
0.437 0.773 0.387 P
0.878 0.122 0.250 O
0.171 0.104 0.327 O
0.829 0.896 0.673 O
0.896 0.829 0.173 O
0.935 0.675 0.525 O
0.675 0.935 0.025 O
0.844 0.645 0.858 O
0.645 0.844 0.358 O
0.914 0.375 0.819 O
0.375 0.914 0.319 O
0.388 0.699 0.574 O
0.617 0.383 0.750 O
0.122 0.878 0.750 O
0.065 0.325 0.475 O
0.301 0.612 0.926 O
0.699 0.388 0.074 O
0.383 0.617 0.250 O
0.612 0.301 0.426 O
0.625 0.086 0.681 O
0.086 0.625 0.181 O
0.355 0.156 0.642 O
0.156 0.355 0.142 O
0.325 0.065 0.975 O
0.104 0.171 0.827 O
```

Space group = C2/c, No. 15
ΔH_f (0 K) = -46.9 eV per formula unit
Distance to the lowest polymorph of the same formula = 0 meV per atom



Entry 4:
An optimized crystal structure of ErNi5. Source: Materials Project, functional GGA-PBE.

```
ErNi5
1.0
2.420 -4.191 0.000
2.420 4.191 0.000
0.000 0.000 3.951
Er Ni
1 5
Direct
0.000 0.000 0.000 Er
0.000 0.500 0.500 Ni
0.333 0.667 0.000 Ni
0.667 0.333 0.000 Ni
0.500 0.000 0.500 Ni
0.500 0.500 0.500 Ni
```

Space group = P6/mmm, No. 191
ΔH_f (0 K) = -2.0 eV per formula unit



Entry 5:
An optimized crystal structure of KCaPO4. Source: Materials Project, functional GGA-PBE.

```
KCaPO4
1.0
-3.500 -6.409 -0.081
-7.301 0.173 -0.081
-0.010 -0.006 -7.214
K Ca P O
2 2 2 8
Direct
0.000 0.000 0.000 K
0.000 0.000 0.500 K
0.302 0.302 0.690 Ca
0.698 0.698 0.310 Ca
0.456 0.456 0.286 P
0.544 0.544 0.714 P
0.344 0.344 0.364 O
0.656 0.656 0.636 O
0.851 0.851 0.249 O
0.350 0.684 0.252 O
0.684 0.350 0.252 O
0.149 0.149 0.751 O
0.650 0.316 0.748 O
0.316 0.650 0.748 O
```

Space group = C2/m, No. 12
ΔH_f (0 K) = -15.7 eV per formula unit



Entry 6:
An optimized crystal structure of Er17Te3Ru6. Source: Materials Project, functional GGA-PBE.

```
Er17Te3Ru6
1.0
0.746 3.617 1.508
-15.143 0.673 5.892
7.775 -10.420 15.886
Er Te Ru
34 6 12
Direct
0.728 0.931 0.458 Er
0.357 0.079 0.711 Er
0.731 0.416 0.462 Er
0.869 0.903 0.732 Er
0.816 0.220 0.630 Er
0.869 0.402 0.739 Er
0.184 0.780 0.370 Er
0.475 0.164 0.946 Er
0.557 0.109 0.116 Er
0.131 0.598 0.261 Er
0.556 0.610 0.116 Er
0.908 0.228 0.813 Er
0.525 0.836 0.054 Er
0.089 0.267 0.180 Er
0.362 0.578 0.723 Er
0.638 0.422 0.277 Er
0.643 0.921 0.289 Er
0.474 0.666 0.949 Er
0.695 0.600 0.392 Er
0.443 0.891 0.884 Er
0.700 0.125 0.403 Er
0.300 0.875 0.597 Er
0.176 0.291 0.352 Er
0.526 0.334 0.051 Er
0.000 0.000 0.000 Er
0.092 0.772 0.187 Er
0.824 0.709 0.648 Er
0.131 0.097 0.268 Er
0.911 0.733 0.820 Er
0.444 0.390 0.884 Er
0.272 0.069 0.542 Er
0.305 0.400 0.608 Er
0.000 0.500 0.000 Er
0.269 0.584 0.538 Er
0.747 0.749 0.500 Te
0.072 0.453 0.148 Te
0.253 0.251 0.500 Te
0.078 0.954 0.151 Te
0.928 0.547 0.852 Te
0.922 0.046 0.849 Te
0.977 0.811 0.952 Ru
0.361 0.275 0.722 Ru
0.023 0.691 0.051 Ru
0.639 0.725 0.278 Ru
0.188 0.995 0.380 Ru
0.812 0.005 0.620 Ru
0.633 0.221 0.269 Ru
0.187 0.477 0.375 Ru
0.023 0.189 0.048 Ru
0.813 0.523 0.625 Ru
0.367 0.779 0.731 Ru
0.977 0.309 0.949 Ru
```

Space group = P-1, No. 2
ΔH_f (0 K) = -15.6 eV per formula unit
Distance to the lowest polymorph of the same formula = 0 meV per atom